(1)
Material: RbMg14Ni
Method: DFT, GGA-PBE
State: optimized geometry

Values from the calculation:
The formation energy comes out at 0.164 eV per atom. The total DFT energy (no corrections) is -1.659 eV/atom. The value obtained for the total magnetic moment is 0.00 μB per cell. Its energy above the most stable polymorph in this dataset is 0 meV per atom.

Cell and atoms, written as CIF:
```
data_RbMg14Ni
_symmetry_space_group_name_H-M 'A m m 2'
_symmetry_Int_Tables_number 38
_cell_length_a 10.5400
_cell_length_b 6.3182
_cell_length_c 11.4588
_cell_angle_alpha 90.00
_cell_angle_beta 90.00
_cell_angle_gamma 90.00
loop_
_symmetry_equiv_pos_as_xyz
'x,y,z'
'-x,-y,z'
'-x,y,z'
'x,-y,z'
'x,y+1/2,z+1/2'
'-x,-y+1/2,z+1/2'
'-x,y+1/2,z+1/2'
'x,-y+1/2,z+1/2'
loop_
_atom_site_label
_atom_site_type_symbol
_atom_site_fract_x
_atom_site_fract_y
_atom_site_fract_z
Rb1 Rb 0.0000 0.0000 0.0000
Mg1 Mg 0.0000 0.2443 0.2508
Mg2 Mg 0.2063 0.0000 0.6116
Mg3 Mg 0.2578 0.2434 0.3741
Mg4 Mg 0.2769 0.0000 0.1327
Mg5 Mg 0.5000 0.0000 0.4681
Mg6 Mg 0.5000 0.0000 0.9599
Mg7 Mg 0.5000 0.2430 0.7141
Ni1 Ni 0.0000 0.0000 0.4390
```

=====

(2)
Material: MgNiS2
Method: DFT, GGA-PBE
State: optimized geometry

Values from the calculation:
The formation energy comes out at -0.834 eV per atom. The total DFT energy (no corrections) is -4.496 eV/atom. The value obtained for the total magnetic moment is 2.89 μB per cell.

Cell and atoms, written as CIF:
```
data_MgNiS2
_symmetry_space_group_name_H-M 'C 1 m 1'
_symmetry_Int_Tables_number 8
_cell_length_a 6.0657
_cell_length_b 3.4964
_cell_length_c 6.2658
_cell_angle_alpha 90.00
_cell_angle_beta 108.79
_cell_angle_gamma 90.00
loop_
_symmetry_equiv_pos_as_xyz
'x,y,z'
'x,-y,z'
'x+1/2,y+1/2,z'
'x+1/2,-y+1/2,z'
loop_
_atom_site_label
_atom_site_type_symbol
_atom_site_fract_x
_atom_site_fract_y
_atom_site_fract_z
Mg1 Mg 0.0000 0.0000 0.0000
Ni1 Ni 0.3323 0.5000 0.5026
S1 S 0.2369 0.0000 0.7150
S2 S 0.4259 0.0000 0.2829
```

=====

(3)
Material: MgNi4S8
Method: DFT, GGA-PBE
State: optimized geometry

Values from the calculation:
The formation energy comes out at -0.279 eV per atom. The total DFT energy (no corrections) is -4.416 eV/atom. The value obtained for the total magnetic moment is 0.00 μB per cell. Its energy above the most stable polymorph in this dataset is 397 meV per atom.

Cell and atoms, written as CIF:
```
data_MgNi4S8
_symmetry_space_group_name_H-M 'C 1 m 1'
_symmetry_Int_Tables_number 8
_cell_length_a 12.2669
_cell_length_b 7.0903
_cell_length_c 7.1172
_cell_angle_alpha 90.00
_cell_angle_beta 125.44
_cell_angle_gamma 90.00
loop_
_symmetry_equiv_pos_as_xyz
'x,y,z'
'x,-y,z'
'x+1/2,y+1/2,z'
'x+1/2,-y+1/2,z'
loop_
_atom_site_label
_atom_site_type_symbol
_atom_site_fract_x
_atom_site_fract_y
_atom_site_fract_z
Mg1 Mg 0.0000 0.0000 0.0000
Ni1 Ni 0.1394 0.2755 0.1398
Ni2 Ni 0.3634 0.5000 0.5866
Ni3 Ni 0.3636 0.5000 0.1412
S1 S 0.1303 0.0000 0.3858
S2 S 0.1306 0.0000 0.8754
S3 S 0.1437 0.5000 0.3574
S4 S 0.1438 0.5000 0.9314
S5 S 0.3592 0.2854 0.3599
S6 S 0.3724 0.2414 0.8738
```

=====

(4)
Material: MgNi4S8
Method: DFT, GGA-PBE
State: optimized geometry

Values from the calculation:
The formation energy comes out at -0.676 eV per atom. The total DFT energy (no corrections) is -4.813 eV/atom. The value obtained for the total magnetic moment is 0.10 μB per cell. Its energy above the most stable polymorph in this dataset is 0 meV per atom.

Cell and atoms, written as CIF:
```
data_MgNi4S8
_symmetry_space_group_name_H-M 'R -3 m'
_symmetry_Int_Tables_number 166
_symmetry_space_group_name_Hall '-R 3 2"'
_cell_length_a 6.7488
_cell_length_b 6.7488
_cell_length_c 17.6588
_cell_angle_alpha 90.00
_cell_angle_beta 90.00
_cell_angle_gamma 120.00
loop_
_atom_site_label
_atom_site_type_symbol
_atom_site_fract_x
_atom_site_fract_y
_atom_site_fract_z
Mg1 Mg 0.0000 0.0000 0.0000
Ni1 Ni 0.0000 0.0000 0.5000
Ni2 Ni 0.0000 0.5000 0.5000
S1 S 0.0000 0.0000 0.2332
S2 S 0.0091 0.5046 0.7651
```

=====

(5)
Material: MgNi4S8
Method: DFT, GGA-PBE
State: optimized geometry

Values from the calculation:
The formation energy comes out at -0.663 eV per atom. The total DFT energy (no corrections) is -4.801 eV/atom. The value obtained for the total magnetic moment is 1.13 μB per cell. Its energy above the most stable polymorph in this dataset is 13 meV per atom.

Cell and atoms, written as CIF:
```
data_MgNi4S8
_symmetry_space_group_name_H-M 'R -3 m'
_symmetry_Int_Tables_number 166
_symmetry_space_group_name_Hall '-R 3 2"'
_cell_length_a 6.8530
_cell_length_b 6.8530
_cell_length_c 16.7558
_cell_angle_alpha 90.00
_cell_angle_beta 90.00
_cell_angle_gamma 120.00
loop_
_atom_site_label
_atom_site_type_symbol
_atom_site_fract_x
_atom_site_fract_y
_atom_site_fract_z
Mg1 Mg 0.0000 0.0000 0.0000
Ni1 Ni 0.0000 0.0000 0.5000
Ni2 Ni 0.0000 0.5000 0.0000
S1 S 0.0000 0.0000 0.2639
S2 S 0.0350 0.5175 0.2564
```

=====

(6)
Material: MgNi4S8
Method: DFT, GGA-PBE
State: optimized geometry

Values from the calculation:
The formation energy comes out at -0.660 eV per atom. The total DFT energy (no corrections) is -4.798 eV/atom. The value obtained for the total magnetic moment is 0.00 μB per cell. Its energy above the most stable polymorph in this dataset is 16 meV per atom.

Cell and atoms, written as CIF:
```
data_MgNi4S8
_symmetry_space_group_name_H-M 'C 1 m 1'
_symmetry_Int_Tables_number 8
_cell_length_a 11.9076
_cell_length_b 6.9034
_cell_length_c 6.8938
_cell_angle_alpha 90.00
_cell_angle_beta 125.26
_cell_angle_gamma 90.00
loop_
_symmetry_equiv_pos_as_xyz
'x,y,z'
'x,-y,z'
'x+1/2,y+1/2,z'
'x+1/2,-y+1/2,z'
loop_
_atom_site_label
_atom_site_type_symbol
_atom_site_fract_x
_atom_site_fract_y
_atom_site_fract_z
Mg1 Mg 0.0000 0.0000 0.0000
Ni1 Ni 0.1204 0.5000 0.3812
Ni2 Ni 0.1207 0.5000 0.8645
Ni3 Ni 0.3789 0.2419 0.3810
S1 S 0.1103 0.2808 0.6124
S2 S 0.1407 0.2835 0.1427
S3 S 0.3582 0.5000 0.5762
S4 S 0.3590 0.5000 0.1438
S5 S 0.3895 0.0000 0.1726
S6 S 0.3894 0.0000 0.6111
```

=====

(7)
Material: MgTiNiS4
Method: DFT, GGA-PBE
State: optimized geometry

Values from the calculation:
The formation energy comes out at -1.205 eV per atom. The total DFT energy (no corrections) is -5.464 eV/atom. The value obtained for the total magnetic moment is 8.00 μB per cell.

Cell and atoms, written as CIF:
```
data_MgTiNiS4
_symmetry_space_group_name_H-M 'C 1 2/m 1'
_symmetry_Int_Tables_number 12
_cell_length_a 12.5234
_cell_length_b 7.0970
_cell_length_c 7.2525
_cell_angle_alpha 90.00
_cell_angle_beta 125.36
_cell_angle_gamma 90.00
loop_
_symmetry_equiv_pos_as_xyz
'x,y,z'
'-x,-y,-z'
'-x,y,-z'
'x,-y,z'
'x+1/2,y+1/2,z'
'-x+1/2,-y+1/2,-z'
'-x+1/2,y+1/2,-z'
'x+1/2,-y+1/2,z'
loop_
_atom_site_label
_atom_site_type_symbol
_atom_site_fract_x
_atom_site_fract_y
_atom_site_fract_z
Mg1 Mg 0.1215 0.0000 0.3719
Ti1 Ti 0.2500 0.2500 0.0000
Ni1 Ni 0.0000 0.5000 0.0000
Ni2 Ni 0.0000 0.5000 0.5000
S1 S 0.0111 0.2839 0.7594
S2 S 0.2354 0.5000 0.7536
S3 S 0.2378 0.5000 0.2187
```

=====

(8)
Material: Mg2VNi3S8
Method: DFT, GGA-PBE
State: optimized geometry

Values from the calculation:
The formation energy comes out at -0.890 eV per atom. The total DFT energy (no corrections) is -5.082 eV/atom. The value obtained for the total magnetic moment is 1.79 μB per cell.

Cell and atoms, written as CIF:
```
data_Mg2VNi3S8
_symmetry_space_group_name_H-M 'C 1 2/m 1'
_symmetry_Int_Tables_number 12
_cell_length_a 12.1522
_cell_length_b 7.0866
_cell_length_c 7.0246
_cell_angle_alpha 90.00
_cell_angle_beta 124.79
_cell_angle_gamma 90.00
loop_
_symmetry_equiv_pos_as_xyz
'x,y,z'
'-x,-y,-z'
'-x,y,-z'
'x,-y,z'
'x+1/2,y+1/2,z'
'-x+1/2,-y+1/2,-z'
'-x+1/2,y+1/2,-z'
'x+1/2,-y+1/2,z'
loop_
_atom_site_label
_atom_site_type_symbol
_atom_site_fract_x
_atom_site_fract_y
_atom_site_fract_z
Mg1 Mg 0.1254 0.0000 0.3743
V1 V 0.0000 0.5000 0.0000
Ni1 Ni 0.0000 0.5000 0.5000
Ni2 Ni 0.2500 0.2500 0.0000
S1 S 0.0158 0.2790 0.7634
S2 S 0.2325 0.5000 0.7676
S3 S 0.2367 0.5000 0.2049
```

=====

(9)
Material: MgVNiS4
Method: DFT, GGA-PBE
State: optimized geometry

Values from the calculation:
The formation energy comes out at -1.017 eV per atom. The total DFT energy (no corrections) is -5.445 eV/atom. The value obtained for the total magnetic moment is 6.62 μB per cell.

Cell and atoms, written as CIF:
```
data_MgVNiS4
_symmetry_space_group_name_H-M 'C 1 2/m 1'
_symmetry_Int_Tables_number 12
_cell_length_a 12.3625
_cell_length_b 7.2259
_cell_length_c 6.9869
_cell_angle_alpha 90.00
_cell_angle_beta 124.35
_cell_angle_gamma 90.00
loop_
_symmetry_equiv_pos_as_xyz
'x,y,z'
'-x,-y,-z'
'-x,y,-z'
'x,-y,z'
'x+1/2,y+1/2,z'
'-x+1/2,-y+1/2,-z'
'-x+1/2,y+1/2,-z'
'x+1/2,-y+1/2,z'
loop_
_atom_site_label
_atom_site_type_symbol
_atom_site_fract_x
_atom_site_fract_y
_atom_site_fract_z
Mg1 Mg 0.1255 0.0000 0.3754
V1 V 0.0000 0.5000 0.0000
V2 V 0.0000 0.5000 0.5000
Ni1 Ni 0.2500 0.2500 0.0000
S1 S 0.0158 0.2709 0.7659
S2 S 0.2374 0.5000 0.2008
S3 S 0.2375 0.5000 0.7741
```

=====

(10)
Material: Mg2NiW3S8
Method: DFT, GGA-PBE
State: optimized geometry

Values from the calculation:
The formation energy comes out at -0.790 eV per atom. The total DFT energy (no corrections) is -6.284 eV/atom. The value obtained for the total magnetic moment is 0.82 μB per cell.

Cell and atoms, written as CIF:
```
data_Mg2NiW3S8
_symmetry_space_group_name_H-M 'R -3 m'
_symmetry_Int_Tables_number 166
_symmetry_space_group_name_Hall '-R 3 2"'
_cell_length_a 6.8866
_cell_length_b 6.8866
_cell_length_c 18.9383
_cell_angle_alpha 90.00
_cell_angle_beta 90.00
_cell_angle_gamma 120.00
loop_
_atom_site_label
_atom_site_type_symbol
_atom_site_fract_x
_atom_site_fract_y
_atom_site_fract_z
Mg1 Mg 0.0000 0.0000 0.1263
Ni1 Ni 0.0000 0.0000 0.5000
W1 W 0.0000 0.5000 0.0000
S1 S 0.0000 0.0000 0.2562
S2 S 0.0394 0.5197 0.2505
```

=====

(11)
Material: MgZn2Ni4S8
Method: DFT, GGA-PBE
State: optimized geometry

Values from the calculation:
The formation energy comes out at -0.665 eV per atom. The total DFT energy (no corrections) is -4.419 eV/atom. The value obtained for the total magnetic moment is 0.00 μB per cell. Its energy above the most stable polymorph in this dataset is 0 meV per atom.

Cell and atoms, written as CIF:
```
data_MgZn2Ni4S8
_symmetry_space_group_name_H-M 'C 1 m 1'
_symmetry_Int_Tables_number 8
_cell_length_a 13.0449
_cell_length_b 6.8166
_cell_length_c 6.6239
_cell_angle_alpha 90.00
_cell_angle_beta 120.42
_cell_angle_gamma 90.00
loop_
_symmetry_equiv_pos_as_xyz
'x,y,z'
'x,-y,z'
'x+1/2,y+1/2,z'
'x+1/2,-y+1/2,z'
loop_
_atom_site_label
_atom_site_type_symbol
_atom_site_fract_x
_atom_site_fract_y
_atom_site_fract_z
Mg1 Mg 0.0000 0.0000 0.0000
Zn1 Zn 0.0419 0.5000 0.0412
Zn2 Zn 0.2227 0.5000 0.7243
Ni1 Ni 0.1715 0.0000 0.9096
Ni2 Ni 0.1727 0.0000 0.4320
Ni3 Ni 0.3945 0.2495 0.3945
S1 S 0.1148 0.2056 0.6138
S2 S 0.1769 0.2226 0.1753
S3 S 0.3643 0.5000 0.5927
S4 S 0.3649 0.5000 0.1376
S5 S 0.3991 0.0000 0.6290
S6 S 0.3999 0.0000 0.1696
```

=====

(12)
Material: MgZn2Ni4S8
Method: DFT, GGA-PBE
State: optimized geometry

Values from the calculation:
The formation energy comes out at -0.653 eV per atom. The total DFT energy (no corrections) is -4.407 eV/atom. The value obtained for the total magnetic moment is 2.01 μB per cell. Its energy above the most stable polymorph in this dataset is 12 meV per atom.

Cell and atoms, written as CIF:
```
data_MgZn2Ni4S8
_symmetry_space_group_name_H-M 'C 1 2/m 1'
_symmetry_Int_Tables_number 12
_cell_length_a 11.8947
_cell_length_b 6.8721
_cell_length_c 7.1795
_cell_angle_alpha 90.00
_cell_angle_beta 123.59
_cell_angle_gamma 90.00
loop_
_symmetry_equiv_pos_as_xyz
'x,y,z'
'-x,-y,-z'
'-x,y,-z'
'x,-y,z'
'x+1/2,y+1/2,z'
'-x+1/2,-y+1/2,-z'
'-x+1/2,y+1/2,-z'
'x+1/2,-y+1/2,z'
loop_
_atom_site_label
_atom_site_type_symbol
_atom_site_fract_x
_atom_site_fract_y
_atom_site_fract_z
Mg1 Mg 0.0000 0.0000 0.0000
Zn1 Zn 0.1487 0.0000 0.4462
Ni1 Ni 0.0000 0.5000 0.0000
Ni2 Ni 0.0000 0.5000 0.5000
Ni3 Ni 0.2500 0.2500 0.0000
S1 S 0.0088 0.2677 0.7587
S2 S 0.2254 0.5000 0.1757
S3 S 0.2412 0.5000 0.7586
```